Entry 1:
SmCoSi2 after structural relaxation. Source: the Materials Project, functional meta-GGA r2SCAN.

## Properties
- spin magnetization (μB/cell) = 0.00
- DFT total energy (eV per atom) = -15.87

```
data_SmCoSi2
_symmetry_space_group_name_H-M 'P 1'
_symmetry_Int_Tables_number 1
_cell_length_a 4.007
_cell_length_b 4.103
_cell_length_c 8.376
_cell_angle_alpha 104.18
_cell_angle_beta 90.00
_cell_angle_gamma 90.00
loop_
_symmetry_equiv_pos_as_xyz
'x,y,z'
loop_
_atom_site_label
_atom_site_type_symbol
_atom_site_fract_x
_atom_site_fract_y
_atom_site_fract_z
Sm1 Sm 0.250 0.892 0.784
Sm2 Sm 0.750 0.108 0.216
Co1 Co 0.750 0.319 0.638
Co2 Co 0.250 0.681 0.362
Si1 Si 0.250 0.250 0.500
Si2 Si 0.750 0.750 0.500
Si3 Si 0.750 0.456 0.912
Si4 Si 0.250 0.544 0.088
```

Entry 2:
SrCo2Si2 after structural relaxation. Source: the Materials Project, functional meta-GGA r2SCAN.

## Properties
- spin magnetization (μB/cell) = 0.00
- DFT total energy (eV per atom) = -12.29

```
data_SrCo2Si2
_symmetry_space_group_name_H-M 'P 1'
_symmetry_Int_Tables_number 1
_cell_length_a 6.096
_cell_length_b 6.096
_cell_length_c 6.096
_cell_angle_alpha 142.63
_cell_angle_beta 142.63
_cell_angle_gamma 53.88
loop_
_symmetry_equiv_pos_as_xyz
'x,y,z'
loop_
_atom_site_label
_atom_site_type_symbol
_atom_site_fract_x
_atom_site_fract_y
_atom_site_fract_z
Sr1 Sr 0.000 0.000 0.000
Co1 Co 0.750 0.250 0.500
Co2 Co 0.250 0.750 0.500
Si1 Si 0.649 0.649 0.000
Si2 Si 0.351 0.351 0.000
```

Entry 3:
Ta2Co3Si after structural relaxation. Source: the Materials Project, functional meta-GGA r2SCAN.

## Properties
- spin magnetization (μB/cell) = 0.00
- DFT total energy (eV per atom) = -24.67

```
data_Ta2Co3Si
_symmetry_space_group_name_H-M 'P 1'
_symmetry_Int_Tables_number 1
_cell_length_a 4.806
_cell_length_b 4.806
_cell_length_c 7.501
_cell_angle_alpha 90.00
_cell_angle_beta 90.00
_cell_angle_gamma 120.00
loop_
_symmetry_equiv_pos_as_xyz
'x,y,z'
loop_
_atom_site_label
_atom_site_type_symbol
_atom_site_fract_x
_atom_site_fract_y
_atom_site_fract_z
Ta1 Ta 0.333 0.667 0.440
Ta2 Ta 0.667 0.333 0.560
Ta3 Ta 0.667 0.333 0.940
Ta4 Ta 0.333 0.667 0.060
Co1 Co 0.831 0.169 0.250
Co2 Co 0.831 0.662 0.250
Co3 Co 0.338 0.169 0.250
Co4 Co 0.169 0.831 0.750
Co5 Co 0.169 0.338 0.750
Co6 Co 0.662 0.831 0.750
Si1 Si 0.000 0.000 0.500
Si2 Si 0.000 0.000 0.000
```

Entry 4:
Ta6Co16Si7 after structural relaxation. Source: the Materials Project, functional meta-GGA r2SCAN.

## Properties
- spin magnetization (μB/cell) = 0.01
- DFT total energy (eV per atom) = -19.95

```
data_Ta6Co16Si7
_symmetry_space_group_name_H-M 'P 1'
_symmetry_Int_Tables_number 1
_cell_length_a 7.827
_cell_length_b 7.827
_cell_length_c 7.827
_cell_angle_alpha 60.00
_cell_angle_beta 60.00
_cell_angle_gamma 60.00
loop_
_symmetry_equiv_pos_as_xyz
'x,y,z'
loop_
_atom_site_label
_atom_site_type_symbol
_atom_site_fract_x
_atom_site_fract_y
_atom_site_fract_z
Ta1 Ta 0.203 0.797 0.797
Ta2 Ta 0.203 0.797 0.203
Ta3 Ta 0.797 0.203 0.203
Ta4 Ta 0.797 0.203 0.797
Ta5 Ta 0.797 0.797 0.203
Ta6 Ta 0.203 0.203 0.797
Co1 Co 0.381 0.381 0.381
Co2 Co 0.500 0.833 0.833
Co3 Co 0.619 0.619 0.144
Co4 Co 0.167 0.167 0.500
Co5 Co 0.833 0.833 0.500
Co6 Co 0.167 0.167 0.167
Co7 Co 0.833 0.833 0.833
Co8 Co 0.381 0.381 0.856
Co9 Co 0.833 0.500 0.833
Co10 Co 0.619 0.619 0.619
Co11 Co 0.381 0.856 0.381
Co12 Co 0.144 0.619 0.619
Co13 Co 0.619 0.144 0.619
Co14 Co 0.167 0.500 0.167
Co15 Co 0.856 0.381 0.381
Co16 Co 0.500 0.167 0.167
Si1 Si 0.000 0.000 0.500
Si2 Si 0.500 0.000 0.500
Si3 Si 0.500 0.500 0.500
Si4 Si 0.000 0.500 0.000
Si5 Si 0.500 0.500 0.000
Si6 Si 0.500 0.000 0.000
Si7 Si 0.000 0.500 0.500
```

Entry 5:
TbCoSi3 after structural relaxation. Source: the Materials Project, functional meta-GGA r2SCAN.

## Properties
- spin magnetization (μB/cell) = 0.00
- DFT total energy (eV per atom) = -14.79

```
data_TbCoSi3
_symmetry_space_group_name_H-M 'P 1'
_symmetry_Int_Tables_number 1
_cell_length_a 5.539
_cell_length_b 5.539
_cell_length_c 5.539
_cell_angle_alpha 137.22
_cell_angle_beta 137.22
_cell_angle_gamma 62.09
loop_
_symmetry_equiv_pos_as_xyz
'x,y,z'
loop_
_atom_site_label
_atom_site_type_symbol
_atom_site_fract_x
_atom_site_fract_y
_atom_site_fract_z
Tb1 Tb 0.004 0.004 0.000
Co1 Co 0.660 0.660 0.000
Si1 Si 0.428 0.428 0.000
Si2 Si 0.262 0.762 0.500
Si3 Si 0.762 0.262 0.500
```

Entry 6:
Th2CoSi3 after structural relaxation. Source: the Materials Project, functional meta-GGA r2SCAN.

## Properties
- spin magnetization (μB/cell) = 0.00
- DFT total energy (eV per atom) = -31.84

```
data_Th2CoSi3
_symmetry_space_group_name_H-M 'P 1'
_symmetry_Int_Tables_number 1
_cell_length_a 7.543
_cell_length_b 7.543
_cell_length_c 7.543
_cell_angle_alpha 148.45
_cell_angle_beta 148.10
_cell_angle_gamma 45.48
loop_
_symmetry_equiv_pos_as_xyz
'x,y,z'
loop_
_atom_site_label
_atom_site_type_symbol
_atom_site_fract_x
_atom_site_fract_y
_atom_site_fract_z
Th1 Th 0.750 0.250 0.500
Th2 Th 0.005 0.005 0.000
Co1 Co 0.164 0.664 0.500
Si1 Si 0.589 0.589 0.000
Si2 Si 0.325 0.825 0.500
Si3 Si 0.417 0.417 0.000
```

Entry 7:
ThCo9Si2 after structural relaxation. Source: the Materials Project, functional meta-GGA r2SCAN.

## Properties
- spin magnetization (μB/cell) = 22.12
- DFT total energy (eV per atom) = -17.75

```
data_ThCo9Si2
_symmetry_space_group_name_H-M 'P 1'
_symmetry_Int_Tables_number 1
_cell_length_a 7.514
_cell_length_b 7.514
_cell_length_c 7.514
_cell_angle_alpha 100.45
_cell_angle_beta 100.45
_cell_angle_gamma 129.60
loop_
_symmetry_equiv_pos_as_xyz
'x,y,z'
loop_
_atom_site_label
_atom_site_type_symbol
_atom_site_fract_x
_atom_site_fract_y
_atom_site_fract_z
Th1 Th 0.000 0.000 0.000
Th2 Th 0.250 0.750 0.500
Co1 Co 0.750 0.250 0.500
Co2 Co 0.774 0.189 0.831
Co3 Co 0.358 0.943 0.169
Co4 Co 0.193 0.524 0.085
Co5 Co 0.892 0.561 0.085
Co6 Co 0.476 0.807 0.915
Co7 Co 0.439 0.108 0.915
Co8 Co 0.057 0.642 0.831
Co9 Co 0.811 0.642 0.585
Co10 Co 0.476 0.561 0.669
Co11 Co 0.892 0.807 0.331
Co12 Co 0.057 0.226 0.415
Co13 Co 0.358 0.189 0.415
Co14 Co 0.774 0.943 0.585
Co15 Co 0.439 0.524 0.331
Co16 Co 0.193 0.108 0.669
Co17 Co 0.811 0.226 0.169
Co18 Co 0.500 0.500 0.000
Si1 Si 0.625 0.875 0.250
Si2 Si 0.625 0.375 0.250
Si3 Si 0.125 0.375 0.750
Si4 Si 0.625 0.375 0.750
```

Entry 8:
ThCoSi2 after structural relaxation. Source: the Materials Project, functional meta-GGA r2SCAN.

## Properties
- spin magnetization (μB/cell) = 0.00
- DFT total energy (eV per atom) = -26.84

```
data_ThCoSi2
_symmetry_space_group_name_H-M 'P 1'
_symmetry_Int_Tables_number 1
_cell_length_a 8.450
_cell_length_b 8.450
_cell_length_c 4.071
_cell_angle_alpha 90.00
_cell_angle_beta 90.00
_cell_angle_gamma 151.79
loop_
_symmetry_equiv_pos_as_xyz
'x,y,z'
loop_
_atom_site_label
_atom_site_type_symbol
_atom_site_fract_x
_atom_site_fract_y
_atom_site_fract_z
Th1 Th 0.609 0.391 0.750
Th2 Th 0.391 0.609 0.250
Co1 Co 0.820 0.180 0.750
Co2 Co 0.180 0.820 0.250
Si1 Si 0.959 0.041 0.750
Si2 Si 0.041 0.959 0.250
Si3 Si 0.250 0.750 0.750
Si4 Si 0.750 0.250 0.250
```

Entry 9:
ThCoSi3 after structural relaxation. Source: the Materials Project, functional meta-GGA r2SCAN.

## Properties
- spin magnetization (μB/cell) = 0.00
- DFT total energy (eV per atom) = -23.24

```
data_ThCoSi3
_symmetry_space_group_name_H-M 'P 1'
_symmetry_Int_Tables_number 1
_cell_length_a 5.561
_cell_length_b 5.561
_cell_length_c 5.561
_cell_angle_alpha 136.11
_cell_angle_beta 136.11
_cell_angle_gamma 63.81
loop_
_symmetry_equiv_pos_as_xyz
'x,y,z'
loop_
_atom_site_label
_atom_site_type_symbol
_atom_site_fract_x
_atom_site_fract_y
_atom_site_fract_z
Th1 Th 0.004 0.004 0.000
Co1 Co 0.664 0.664 0.000
Si1 Si 0.423 0.423 0.000
Si2 Si 0.262 0.762 0.500
Si3 Si 0.762 0.262 0.500
```

Entry 10:
TiCoSi after structural relaxation. Source: the Materials Project, functional meta-GGA r2SCAN.

## Properties
- spin magnetization (μB/cell) = 0.00
- DFT total energy (eV per atom) = -12.41

```
data_TiCoSi
_symmetry_space_group_name_H-M 'P 1'
_symmetry_Int_Tables_number 1
_cell_length_a 3.690
_cell_length_b 6.099
_cell_length_c 6.824
_cell_angle_alpha 90.00
_cell_angle_beta 90.00
_cell_angle_gamma 90.00
loop_
_symmetry_equiv_pos_as_xyz
'x,y,z'
loop_
_atom_site_label
_atom_site_type_symbol
_atom_site_fract_x
_atom_site_fract_y
_atom_site_fract_z
Ti1 Ti 0.250 0.013 0.194
Ti2 Ti 0.750 0.487 0.694
Ti3 Ti 0.250 0.513 0.306
Ti4 Ti 0.750 0.987 0.806
Co1 Co 0.250 0.644 0.933
Co2 Co 0.750 0.356 0.067
Co3 Co 0.250 0.144 0.567
Co4 Co 0.750 0.856 0.433
Si1 Si 0.750 0.726 0.111
Si2 Si 0.250 0.774 0.611
Si3 Si 0.750 0.226 0.389
Si4 Si 0.250 0.274 0.889
```

Entry 11:
Ti6Co16Si7 after structural relaxation. Source: the Materials Project, functional meta-GGA r2SCAN.

## Properties
- spin magnetization (μB/cell) = 0.01
- DFT total energy (eV per atom) = -12.61

```
data_Ti6Co16Si7
_symmetry_space_group_name_H-M 'P 1'
_symmetry_Int_Tables_number 1
_cell_length_a 7.784
_cell_length_b 7.784
_cell_length_c 7.784
_cell_angle_alpha 60.00
_cell_angle_beta 60.00
_cell_angle_gamma 60.00
loop_
_symmetry_equiv_pos_as_xyz
'x,y,z'
loop_
_atom_site_label
_atom_site_type_symbol
_atom_site_fract_x
_atom_site_fract_y
_atom_site_fract_z
Ti1 Ti 0.200 0.800 0.800
Ti2 Ti 0.800 0.800 0.200
Ti3 Ti 0.800 0.200 0.200
Ti4 Ti 0.200 0.200 0.800
Ti5 Ti 0.800 0.200 0.800
Ti6 Ti 0.200 0.800 0.200
Co1 Co 0.619 0.619 0.143
Co2 Co 0.167 0.498 0.167
Co3 Co 0.858 0.381 0.381
Co4 Co 0.502 0.833 0.833
Co5 Co 0.498 0.167 0.167
Co6 Co 0.833 0.833 0.502
Co7 Co 0.167 0.167 0.498
Co8 Co 0.143 0.619 0.619
Co9 Co 0.167 0.167 0.167
Co10 Co 0.381 0.381 0.858
Co11 Co 0.619 0.619 0.619
Co12 Co 0.381 0.858 0.381
Co13 Co 0.381 0.381 0.381
Co14 Co 0.833 0.833 0.833
Co15 Co 0.619 0.143 0.619
Co16 Co 0.833 0.502 0.833
Si1 Si 0.500 0.000 0.500
Si2 Si 0.500 0.500 0.000
Si3 Si 0.500 0.500 0.500
Si4 Si 0.000 0.000 0.500
Si5 Si 0.000 0.500 0.000
Si6 Si 0.000 0.500 0.500
Si7 Si 0.500 0.000 0.000
```

Entry 12:
Ti4Co4Si7 after structural relaxation. Source: the Materials Project, functional meta-GGA r2SCAN.

## Properties
- spin magnetization (μB/cell) = 0.00
- DFT total energy (eV per atom) = -11.78

```
data_Ti4Co4Si7
_symmetry_space_group_name_H-M 'P 1'
_symmetry_Int_Tables_number 1
_cell_length_a 9.121
_cell_length_b 9.121
_cell_length_c 9.122
_cell_angle_alpha 94.11
_cell_angle_beta 94.11
_cell_angle_gamma 148.94
loop_
_symmetry_equiv_pos_as_xyz
'x,y,z'
loop_
_atom_site_label
_atom_site_type_symbol
_atom_site_fract_x
_atom_site_fract_y
_atom_site_fract_z
Ti1 Ti 0.136 0.136 0.271
Ti2 Ti 0.864 0.864 0.729
Ti3 Ti 0.864 0.136 0.000
Ti4 Ti 0.136 0.864 0.000
Ti5 Ti 0.500 0.694 0.193
Ti6 Ti 0.500 0.306 0.807
Ti7 Ti 0.306 0.500 0.807
Ti8 Ti 0.694 0.500 0.193
Co1 Co 0.399 0.899 0.799
Co2 Co 0.101 0.601 0.201
Co3 Co 0.101 0.899 0.500
Co4 Co 0.399 0.601 0.500
Co5 Co 0.601 0.399 0.500
Co6 Co 0.899 0.101 0.500
Co7 Co 0.899 0.399 0.799
Co8 Co 0.601 0.101 0.201
Si1 Si 0.293 0.293 0.585
Si2 Si 0.707 0.707 0.415
Si3 Si 0.707 0.293 0.000
Si4 Si 0.293 0.707 0.000
Si5 Si 0.000 0.296 0.296
Si6 Si 0.000 0.704 0.704
Si7 Si 0.704 0.000 0.704
Si8 Si 0.296 0.000 0.296
Si9 Si 0.500 0.905 0.405
Si10 Si 0.500 0.095 0.595
Si11 Si 0.095 0.500 0.595
Si12 Si 0.905 0.500 0.405
Si13 Si 0.749 0.749 0.000
Si14 Si 0.251 0.251 0.000
```